Hf6Al16Ir7 meta-GGA r2SCAN relaxed; formation enthalpy at 0 K = -922 meV/atom; V = 457.5 Å³ per cell; SG = Fm-3m
1.0
0.000 6.116 6.116
6.116 0.000 6.116
6.116 6.116 0.000
Hf Al Ir
6 16 7
direct
0.186 0.186 0.814
0.186 0.814 0.186
0.186 0.814 0.814
0.814 0.186 0.186
0.814 0.186 0.814
0.814 0.814 0.186
0.140 0.620 0.620
0.162 0.162 0.162
0.162 0.162 0.513
0.162 0.513 0.162
0.380 0.380 0.380
0.380 0.380 0.860
0.380 0.860 0.380
0.487 0.838 0.838
0.513 0.162 0.162
0.620 0.140 0.620
0.620 0.620 0.140
0.620 0.620 0.620
0.838 0.487 0.838
0.838 0.838 0.487
0.838 0.838 0.838
0.860 0.380 0.380
0.000 0.000 0.500
0.000 0.500 0.000
0.000 0.500 0.500
0.500 0.000 0.000
0.500 0.000 0.500
0.500 0.500 0.000
0.500 0.500 0.500